! Li2FeSi6O15 (PBE+U, optimized geometry); values from VASP
! - Total magnetization: 0.0 μB/cell
! - ΔE_f: -2.85 eV per atom
&SYSTEM
  ibrav = 0, nat = 48, ntyp = 4
/
ATOMIC_SPECIES
Li 6.94 Li.upf
Fe 55.84 Fe.upf
Si 28.09 Si.upf
O 16.00 O.upf
CELL_PARAMETERS angstrom
7.301 0.158 0.067
-3.759 4.666 5.259
-1.631 -10.139 6.112
ATOMIC_POSITIONS crystal
Li 0.173 0.428 0.285
Li 0.173 0.928 0.785
Li 0.827 0.572 0.715
Li 0.827 0.072 0.215
Fe 0.000 0.500 0.500
Fe 0.000 0.000 0.000
Si 0.173 0.741 0.130
Si 0.173 0.241 0.630
Si 0.827 0.259 0.870
Si 0.827 0.759 0.370
Si 0.198 0.569 0.785
Si 0.198 0.069 0.285
Si 0.802 0.431 0.215
Si 0.802 0.931 0.715
Si 0.509 0.708 0.010
Si 0.509 0.208 0.510
Si 0.491 0.292 0.990
Si 0.491 0.792 0.490
O 0.500 0.500 0.000
O 0.500 0.000 0.500
O 0.048 0.794 0.027
O 0.048 0.294 0.528
O 0.952 0.206 0.973
O 0.952 0.706 0.472
O 0.982 0.467 0.839
O 0.982 0.967 0.339
O 0.018 0.533 0.161
O 0.018 0.033 0.661
O 0.133 0.666 0.685
O 0.133 0.167 0.185
O 0.867 0.334 0.315
O 0.867 0.833 0.815
O 0.375 0.721 0.105
O 0.375 0.221 0.605
O 0.625 0.279 0.895
O 0.625 0.779 0.395
O 0.394 0.728 0.886
O 0.394 0.228 0.386
O 0.606 0.272 0.114
O 0.606 0.772 0.614
O 0.263 0.405 0.746
O 0.263 0.905 0.246
O 0.737 0.595 0.254
O 0.737 0.095 0.754
O 0.257 0.110 0.943
O 0.257 0.610 0.443
O 0.743 0.890 0.057
O 0.743 0.390 0.557